[1]
# ZnCo3C (r2SCAN, optimized geometry)
data_ZnCo3C
_space_group_name_H-M_alt 'P m -3 m'
_space_group_IT_number 221
_space_group_name_Hall '-P 4 2 3'
_cell_length_a 3.7270
_cell_length_b 3.7270
_cell_length_c 3.7270
_cell_angle_alpha 90.00
_cell_angle_beta 90.00
_cell_angle_gamma 90.00
loop_
_atom_site_label
_atom_site_type_symbol
_atom_site_fract_x
_atom_site_fract_y
_atom_site_fract_z
Zn1 Zn 0.0000 0.0000 0.0000
Co1 Co 0.0000 0.5000 0.5000
C1 C 0.5000 0.5000 0.5000
# - ΔH_f (0 K): 0.11 eV per atom
# - Size of the total moment: 2.95 μB per cell



[2]
# Lu11Ge10 (r2SCAN, optimized geometry)
data_Lu11Ge10
_space_group_name_H-M_alt 'I 4/m m m'
_space_group_IT_number 139
_space_group_name_Hall '-I 4 2'
_cell_length_a 10.6490
_cell_length_b 10.6490
_cell_length_c 15.9007
_cell_angle_alpha 90.00
_cell_angle_beta 90.00
_cell_angle_gamma 90.00
loop_
_atom_site_label
_atom_site_type_symbol
_atom_site_fract_x
_atom_site_fract_y
_atom_site_fract_z
Lu1 Lu 0.0000 0.0000 0.1599
Lu2 Lu 0.0000 0.2521 0.3101
Lu3 Lu 0.0000 0.3256 0.1014
Lu4 Lu 0.1772 0.1772 0.5000
Ge1 Ge 0.0000 0.0000 0.3829
Ge2 Ge 0.0000 0.3561 0.5000
Ge3 Ge 0.0000 0.5000 0.2500
Ge4 Ge 0.1215 0.1215 0.0000
Ge5 Ge 0.2082 0.2082 0.1807
# - ΔH_f (0 K): -0.91 eV per atom
# - Size of the total moment: 0.00 μB per cell



[3]
# Rb3Ge4Au (r2SCAN, optimized geometry)
data_Rb3Ge4Au
_space_group_name_H-M_alt 'P m m n'
_space_group_IT_number 59
_cell_length_a 6.9442
_cell_length_b 12.4918
_cell_length_c 6.1287
_cell_angle_alpha 90.00
_cell_angle_beta 90.00
_cell_angle_gamma 90.00
loop_
_space_group_symop_operation_xyz
'x,y,z'
'-x,-y,-z'
'-x+1/2,-y+1/2,z'
'x+1/2,y+1/2,-z'
'x+1/2,-y,-z'
'-x+1/2,y,z'
'-x,y+1/2,-z'
'x,-y+1/2,z'
loop_
_atom_site_label
_atom_site_type_symbol
_atom_site_fract_x
_atom_site_fract_y
_atom_site_fract_z
Rb1 Rb 0.2500 0.0153 0.1638
Rb2 Rb 0.2500 0.2500 0.5714
Ge1 Ge 0.0541 0.7500 0.9402
Ge2 Ge 0.2500 0.6401 0.6702
Au1 Au 0.2500 0.7500 0.3071
# - ΔH_f (0 K): -0.31 eV per atom
# - Size of the total moment: 0.00 μB per cell



[4]
# RbTbMo2O8 (r2SCAN, optimized geometry)
data_RbTbMo2O8
_space_group_name_H-M_alt 'C 1 2/c 1'
_space_group_IT_number 15
_space_group_name_Hall '-C 2yc'
_cell_length_a 10.6481
_cell_length_b 10.3653
_cell_length_c 7.7082
_cell_angle_alpha 90.00
_cell_angle_beta 130.88
_cell_angle_gamma 90.00
loop_
_atom_site_label
_atom_site_type_symbol
_atom_site_fract_x
_atom_site_fract_y
_atom_site_fract_z
Rb1 Rb 0.0000 0.1940 0.2500
Tb1 Tb 0.0000 0.2298 0.7500
Mo1 Mo 0.1948 0.4985 0.2378
O1 O 0.0256 0.3926 0.9710
O2 O 0.1287 0.0759 0.6970
O3 O 0.1883 0.4226 0.4333
O4 O 0.2300 0.1572 0.1284
# - ΔH_f (0 K): -2.66 eV per atom
# - Size of the total moment: 0.00 μB per cell



[5]
# Cs4P2Se9 (r2SCAN, optimized geometry)
data_Cs4P2Se9
_space_group_name_H-M_alt 'C 1 2/c 1'
_space_group_IT_number 15
_space_group_name_Hall '-C 2yc'
_cell_length_a 10.2328
_cell_length_b 10.8039
_cell_length_c 19.8780
_cell_angle_alpha 90.00
_cell_angle_beta 93.90
_cell_angle_gamma 90.00
loop_
_atom_site_label
_atom_site_type_symbol
_atom_site_fract_x
_atom_site_fract_y
_atom_site_fract_z
Cs1 Cs 0.0343 0.2501 0.4746
Cs2 Cs 0.1612 0.0971 0.8263
P1 P 0.2391 0.0076 0.6229
Se1 Se 0.0000 0.4039 0.2500
Se2 Se 0.0359 0.4777 0.8488
Se3 Se 0.1293 0.1213 0.1800
Se4 Se 0.1899 0.1976 0.6445
Se5 Se 0.2476 0.4633 0.9838
# - ΔH_f (0 K): -0.83 eV per atom
# - Size of the total moment: 0.00 μB per cell



[6]
# ErInNi (r2SCAN, optimized geometry)
data_ErInNi
_space_group_name_H-M_alt 'P -6 2 m'
_space_group_IT_number 189
_space_group_name_Hall 'P -6 -2'
_cell_length_a 7.3766
_cell_length_b 7.3766
_cell_length_c 3.7137
_cell_angle_alpha 90.00
_cell_angle_beta 90.00
_cell_angle_gamma 120.00
loop_
_atom_site_label
_atom_site_type_symbol
_atom_site_fract_x
_atom_site_fract_y
_atom_site_fract_z
Er1 Er 0.0000 0.5890 0.0000
In1 In 0.0000 0.2553 0.5000
Ni1 Ni 0.0000 0.0000 0.0000
Ni2 Ni 0.3333 0.6667 0.5000
# - ΔH_f (0 K): -0.56 eV per atom
# - Size of the total moment: 0.00 μB per cell



[7]
# H (r2SCAN, optimized geometry)
data_H
_space_group_name_H-M_alt 'P 63/m m c'
_space_group_IT_number 194
_space_group_name_Hall '-P 6c 2c'
_cell_length_a 3.8401
_cell_length_b 3.8401
_cell_length_c 5.0467
_cell_angle_alpha 90.00
_cell_angle_beta 90.00
_cell_angle_gamma 120.00
loop_
_atom_site_label
_atom_site_type_symbol
_atom_site_fract_x
_atom_site_fract_y
_atom_site_fract_z
H1 H 0.3333 0.6667 0.1765
# - ΔH_f (0 K): 0.00 eV per atom
# - Size of the total moment: 0.00 μB per cell
# - Offset from the most stable computed form: 0.002 eV/atom



[8]
# Sc6Pb5 (r2SCAN, optimized geometry)
data_Sc6Pb5
_space_group_name_H-M_alt 'I b a m'
_space_group_IT_number 72
_space_group_name_Hall '-I 2 2c'
_cell_length_a 8.9613
_cell_length_b 19.3610
_cell_length_c 6.2555
_cell_angle_alpha 90.00
_cell_angle_beta 90.00
_cell_angle_gamma 90.00
loop_
_atom_site_label
_atom_site_type_symbol
_atom_site_fract_x
_atom_site_fract_y
_atom_site_fract_z
Sc1 Sc 0.0000 0.1950 0.2500
Sc2 Sc 0.1118 0.3578 0.0000
Sc3 Sc 0.2342 0.0598 0.0000
Pb1 Pb 0.0000 0.5000 0.2500
Pb2 Pb 0.1009 0.0755 0.5000
Pb3 Pb 0.1959 0.2935 0.5000
# - ΔH_f (0 K): -0.56 eV per atom
# - Size of the total moment: 0.00 μB per cell



[9]
# Cs3P7 (r2SCAN, optimized geometry)
data_Cs3P7
_space_group_name_H-M_alt 'P 41'
_space_group_IT_number 76
_space_group_name_Hall 'P 4w'
_cell_length_a 9.1617
_cell_length_b 9.1617
_cell_length_c 16.8481
_cell_angle_alpha 90.00
_cell_angle_beta 90.00
_cell_angle_gamma 90.00
loop_
_atom_site_label
_atom_site_type_symbol
_atom_site_fract_x
_atom_site_fract_y
_atom_site_fract_z
Cs1 Cs 0.0193 0.8302 0.0000
Cs2 Cs 0.2571 0.6213 0.5024
Cs3 Cs 0.2662 0.4139 0.0896
P1 P 0.0039 0.6526 0.2071
P2 P 0.0066 0.2934 0.8401
P3 P 0.0234 0.6455 0.8106
P4 P 0.0924 0.5577 0.6966
P5 P 0.1051 0.4796 0.8924
P6 P 0.2055 0.6224 0.2842
P7 P 0.2110 0.3971 0.3127
# - ΔH_f (0 K): -0.53 eV per atom
# - Size of the total moment: 0.00 μB per cell



[10]
# CsI4 (r2SCAN, optimized geometry)
data_CsI4
_space_group_name_H-M_alt 'P 1 21/c 1'
_space_group_IT_number 14
_space_group_name_Hall '-P 2ybc'
_cell_length_a 10.3692
_cell_length_b 9.0558
_cell_length_c 11.4408
_cell_angle_alpha 90.00
_cell_angle_beta 113.90
_cell_angle_gamma 90.00
loop_
_atom_site_label
_atom_site_type_symbol
_atom_site_fract_x
_atom_site_fract_y
_atom_site_fract_z
Cs1 Cs 0.2262 0.1255 0.3088
I1 I 0.0475 0.6435 0.9918
I2 I 0.1702 0.5239 0.4539
I3 I 0.3781 0.7079 0.3923
I4 I 0.4414 0.1022 0.6767
# - ΔH_f (0 K): -0.77 eV per atom
# - Size of the total moment: 0.00 μB per cell



[11]
# KTb2F7 (r2SCAN, optimized geometry)
data_KTb2F7
_space_group_name_H-M_alt 'C 1 2/m 1'
_space_group_IT_number 12
_space_group_name_Hall '-C 2y'
_cell_length_a 14.3275
_cell_length_b 8.0317
_cell_length_c 11.9925
_cell_angle_alpha 90.00
_cell_angle_beta 125.44
_cell_angle_gamma 90.00
loop_
_atom_site_label
_atom_site_type_symbol
_atom_site_fract_x
_atom_site_fract_y
_atom_site_fract_z
K1 K 0.2326 0.0000 0.1523
K2 K 0.2369 0.5000 0.4787
Tb1 Tb 0.0000 0.2596 0.5000
Tb2 Tb 0.0026 0.2369 0.1826
Tb3 Tb 0.2401 0.0000 0.8212
F1 F 0.0000 0.1759 0.0000
F2 F 0.0048 0.5000 0.2378
F3 F 0.1037 0.2339 0.4177
F4 F 0.1050 0.0000 0.5871
F5 F 0.1064 0.0000 0.2524
F6 F 0.1060 0.5000 0.5746
F7 F 0.1128 0.0000 0.8817
F8 F 0.1174 0.2368 0.7373
F9 F 0.1633 0.3319 0.0005
F10 F 0.1743 0.3290 0.2406
# - ΔH_f (0 K): -4.23 eV per atom
# - Size of the total moment: 0.00 μB per cell



[12]
# La5AgPb3 (r2SCAN, optimized geometry)
data_La5AgPb3
_space_group_name_H-M_alt 'P 63/m c m'
_space_group_IT_number 193
_space_group_name_Hall '-P 6c 2'
_cell_length_a 9.8493
_cell_length_b 9.8493
_cell_length_c 6.9803
_cell_angle_alpha 90.00
_cell_angle_beta 90.00
_cell_angle_gamma 120.00
loop_
_atom_site_label
_atom_site_type_symbol
_atom_site_fract_x
_atom_site_fract_y
_atom_site_fract_z
La1 La 0.0000 0.2734 0.2500
La2 La 0.3333 0.6667 0.0000
Ag1 Ag 0.0000 0.0000 0.0000
Pb1 Pb 0.0000 0.3771 0.7500
# - ΔH_f (0 K): -0.70 eV per atom
# - Size of the total moment: 4.06 μB per cell



[13]
# NiGe (r2SCAN, optimized geometry)
data_NiGe
_space_group_name_H-M_alt 'P n m a'
_space_group_IT_number 62
_space_group_name_Hall '-P 2ac 2n'
_cell_length_a 5.3297
_cell_length_b 3.4509
_cell_length_c 5.7707
_cell_angle_alpha 90.00
_cell_angle_beta 90.00
_cell_angle_gamma 90.00
loop_
_atom_site_label
_atom_site_type_symbol
_atom_site_fract_x
_atom_site_fract_y
_atom_site_fract_z
Ni1 Ni 0.0055 0.2500 0.1907
Ge1 Ge 0.1897 0.2500 0.5870
# - ΔH_f (0 K): -0.27 eV per atom
# - Size of the total moment: 0.00 μB per cell



[14]
# Li2MoO4 (r2SCAN, optimized geometry)
data_Li2MoO4
_space_group_name_H-M_alt 'R -3'
_space_group_IT_number 148
_space_group_name_Hall '-R 3'
_cell_length_a 14.2735
_cell_length_b 14.2735
_cell_length_c 9.5196
_cell_angle_alpha 90.00
_cell_angle_beta 90.00
_cell_angle_gamma 120.00
loop_
_atom_site_label
_atom_site_type_symbol
_atom_site_fract_x
_atom_site_fract_y
_atom_site_fract_z
Li1 Li 0.0181 0.2107 0.4140
Li2 Li 0.0222 0.2128 0.0852
Mo1 Mo 0.0187 0.2148 0.7494
O1 O 0.0015 0.3288 0.7487
O2 O 0.0868 0.2133 0.5951
O3 O 0.0887 0.2143 0.9031
O4 O 0.0983 0.2095 0.2502
# - ΔH_f (0 K): -2.36 eV per atom
# - Size of the total moment: 0.00 μB per cell